1.
This record from the Materials Project database describes crystalline Al2O3 at its relaxed geometry. The functional is GGA-PBE.

Computed properties:
* uncorrected energy: -728.8 eV/cell
* calculated volume: 1140.1 Å³ per cell
* formation energy from the elements: -3.233 eV per atom

```
data_Al2O3
_cell_length_a 10.378
_cell_length_b 10.487
_cell_length_c 10.625
_cell_angle_alpha 82.81
_cell_angle_beta 83.60
_cell_angle_gamma 88.45
_space_group_name_H-M_alt 'P 1'
_space_group_IT_number 1
loop_
_space_group_symop_operation_xyz
'x,y,z'
loop_
_atom_site_label
_atom_site_type_symbol
_atom_site_fract_x
_atom_site_fract_y
_atom_site_fract_z
Al1 Al 0.000 0.000 0.000
Al2 Al 0.000 0.369 0.739
Al3 Al 0.010 0.294 0.024
Al4 Al 0.022 0.774 0.269
Al5 Al 0.054 0.263 0.259
Al6 Al 0.116 0.588 0.598
Al7 Al 0.120 0.898 0.513
Al8 Al 0.134 0.846 0.791
Al9 Al 0.139 0.529 0.151
Al10 Al 0.188 0.030 0.287
Al11 Al 0.226 0.825 0.089
Al12 Al 0.232 0.100 0.728
Al13 Al 0.236 0.562 0.854
Al14 Al 0.274 0.113 0.998
Al15 Al 0.297 0.327 0.145
Al16 Al 0.325 0.571 0.334
Al17 Al 0.386 0.038 0.512
Al18 Al 0.411 0.796 0.698
Al19 Al 0.420 0.535 0.589
Al20 Al 0.447 0.387 0.870
Al21 Al 0.454 0.277 0.491
Al22 Al 0.489 0.643 0.942
Al23 Al 0.508 0.787 0.139
Al24 Al 0.514 0.763 0.410
Al25 Al 0.535 0.102 0.820
Al26 Al 0.588 0.046 0.325
Al27 Al 0.642 0.473 0.430
Al28 Al 0.667 0.618 0.713
Al29 Al 0.692 0.024 0.076
Al30 Al 0.707 0.373 0.870
Al31 Al 0.714 0.538 0.107
Al32 Al 0.732 0.296 0.182
Al33 Al 0.736 0.032 0.584
Al34 Al 0.753 0.308 0.600
Al35 Al 0.799 0.721 0.424
Al36 Al 0.872 0.019 0.290
Al37 Al 0.888 0.765 0.700
Al38 Al 0.944 0.072 0.718
Al39 Al 0.955 0.599 0.917
Al40 Al 0.961 0.477 0.429
O1 O 0.014 0.098 0.321
O2 O 0.023 0.455 0.576
O3 O 0.051 0.748 0.591
O4 O 0.053 0.858 0.106
O5 O 0.057 0.421 0.305
O6 O 0.075 0.207 0.730
O7 O 0.095 0.977 0.661
O8 O 0.097 0.146 0.019
O9 O 0.108 0.525 0.761
O10 O 0.112 0.871 0.351
O11 O 0.119 0.596 0.988
O12 O 0.134 0.367 0.095
O13 O 0.162 0.962 0.893
O14 O 0.174 0.677 0.216
O15 O 0.225 0.202 0.254
O16 O 0.249 0.001 0.439
O17 O 0.256 0.577 0.494
O18 O 0.264 0.727 0.783
O19 O 0.273 0.984 0.134
O20 O 0.306 0.468 0.216
O21 O 0.330 0.188 0.589
O22 O 0.338 0.947 0.666
O23 O 0.355 0.114 0.841
O24 O 0.355 0.458 0.741
O25 O 0.366 0.521 0.957
O26 O 0.368 0.264 0.009
O27 O 0.387 0.775 0.028
O28 O 0.425 0.713 0.290
O29 O 0.433 0.709 0.564
O30 O 0.450 0.455 0.435
O31 O 0.471 0.157 0.387
O32 O 0.509 0.924 0.440
O33 O 0.538 0.732 0.785
O34 O 0.577 0.271 0.830
O35 O 0.586 0.047 0.672
O36 O 0.591 0.505 0.855
O37 O 0.593 0.655 0.067
O38 O 0.596 0.909 0.197
O39 O 0.598 0.020 0.954
O40 O 0.598 0.522 0.602
O41 O 0.610 0.298 0.527
O42 O 0.649 0.151 0.183
O43 O 0.655 0.661 0.378
O44 O 0.676 0.434 0.260
O45 O 0.706 0.385 0.034
O46 O 0.737 0.049 0.407
O47 O 0.767 0.726 0.588
O48 O 0.806 0.422 0.465
O49 O 0.817 0.358 0.734
O50 O 0.820 0.619 0.795
O51 O 0.841 0.162 0.604
O52 O 0.851 0.931 0.663
O53 O 0.855 0.023 0.122
O54 O 0.866 0.852 0.323
O55 O 0.869 0.593 0.071
O56 O 0.897 0.047 0.882
O57 O 0.905 0.276 0.173
O58 O 0.946 0.639 0.374
O59 O 0.952 0.395 0.905
O60 O 0.988 0.764 0.835
```

2.
This record from the Materials Project database describes crystalline Pm2ZnGa at its relaxed geometry. The functional is GGA-PBE.

Computed properties:
* uncorrected energy: -62.5 eV/cell
* calculated volume: 396.8 Å³ per cell
* formation energy from the elements: -0.459 eV per atom

```
data_Pm2ZnGa
_cell_length_a 7.348
_cell_length_b 7.348
_cell_length_c 7.348
_cell_angle_alpha 90.00
_cell_angle_beta 90.00
_cell_angle_gamma 90.00
_space_group_name_H-M_alt 'F m -3 m'
_space_group_IT_number 225
_space_group_name_Hall '-F 4 2 3'
loop_
_atom_site_label
_atom_site_type_symbol
_atom_site_fract_x
_atom_site_fract_y
_atom_site_fract_z
Pm1 Pm 0.250 0.250 0.250
Zn1 Zn 0.000 0.000 0.000
Ga1 Ga 0.000 0.000 0.500
```

3.
This record from the Materials Project database describes crystalline Cr2CuSe2S2 at its relaxed geometry. The functional is GGA-PBE.

Computed properties:
* uncorrected energy: -340.2 eV/cell
* calculated volume: 1043.5 Å³ per cell
* formation energy from the elements: -0.694 eV per atom

```
data_Cr2CuSe2S2
_cell_length_a 10.143
_cell_length_b 10.143
_cell_length_c 10.143
_cell_angle_alpha 90.00
_cell_angle_beta 90.00
_cell_angle_gamma 90.00
_space_group_name_H-M_alt 'F -4 3 m'
_space_group_IT_number 216
_space_group_name_Hall 'F -4 2 3'
loop_
_atom_site_label
_atom_site_type_symbol
_atom_site_fract_x
_atom_site_fract_y
_atom_site_fract_z
Cr1 Cr 0.118 0.118 0.382
Cu1 Cu 0.000 0.000 0.000
Cu2 Cu 0.250 0.250 0.750
Se1 Se 0.134 0.134 0.134
S1 S 0.118 0.118 0.618
```

4.
This record from the Materials Project database describes crystalline CeIn2Ir at its relaxed geometry. The functional is GGA-PBE.

Computed properties:
* uncorrected energy: -89.4 eV/cell
* calculated volume: 364.4 Å³ per cell
* formation energy from the elements: -0.517 eV per atom

```
data_CeIn2Ir
_cell_length_a 4.387
_cell_length_b 10.101
_cell_length_c 8.224
_cell_angle_alpha 90.00
_cell_angle_beta 90.00
_cell_angle_gamma 90.00
_space_group_name_H-M_alt 'C m c m'
_space_group_IT_number 63
_space_group_name_Hall '-C 2c 2'
loop_
_atom_site_label
_atom_site_type_symbol
_atom_site_fract_x
_atom_site_fract_y
_atom_site_fract_z
Ce1 Ce 0.000 0.068 0.250
In1 In 0.000 0.356 0.050
Ir1 Ir 0.000 0.217 0.750
```

5.
This record from the Materials Project database describes crystalline Sb2O3 at its relaxed geometry. The functional is GGA-PBE.

Computed properties:
* uncorrected energy: -237.1 eV/cell
* calculated volume: 714.5 Å³ per cell
* formation energy from the elements: -1.719 eV per atom

```
data_Sb2O3
_cell_length_a 7.613
_cell_length_b 7.777
_cell_length_c 12.068
_cell_angle_alpha 90.00
_cell_angle_beta 90.00
_cell_angle_gamma 90.00
_space_group_name_H-M_alt 'P 21 21 21'
_space_group_IT_number 19
loop_
_space_group_symop_operation_xyz
'x,y,z'
'-x+1/2,-y,z+1/2'
'x+1/2,-y+1/2,-z'
'-x,y+1/2,-z+1/2'
loop_
_atom_site_label
_atom_site_type_symbol
_atom_site_fract_x
_atom_site_fract_y
_atom_site_fract_z
Sb1 Sb 0.002 0.004 0.240
Sb2 Sb 0.025 0.569 0.758
Sb3 Sb 0.226 0.249 0.016
Sb4 Sb 0.236 0.279 0.485
O1 O 0.022 0.351 0.394
O2 O 0.059 0.688 0.612
O3 O 0.060 0.217 0.145
O4 O 0.117 0.770 0.851
O5 O 0.146 0.492 0.998
O6 O 0.247 0.429 0.751
```

6.
This record from the Materials Project database describes crystalline MnCdTe2 at its relaxed geometry. The functional is GGA-PBE.

Computed properties:
* uncorrected energy: -52.3 eV/cell
* calculated volume: 409.3 Å³ per cell
* formation energy from the elements: -0.477 eV per atom

```
data_MnCdTe2
_cell_length_a 4.6020
_cell_length_b 4.6020
_cell_length_c 22.3169
_cell_angle_alpha 90.00
_cell_angle_beta 90.00
_cell_angle_gamma 120.00
_space_group_name_H-M_alt 'R 3 m'
_space_group_IT_number 160
_space_group_name_Hall 'R 3 -2"'
loop_
_atom_site_label
_atom_site_type_symbol
_atom_site_fract_x
_atom_site_fract_y
_atom_site_fract_z
Mn1 Mn 0.0000 0.0000 0.0000
Cd1 Cd 0.0000 0.0000 0.5019
Te1 Te 0.0000 0.0000 0.1221
Te2 Te 0.0000 0.0000 0.6303
```